Record 1
A geometry-optimized Na2ScTiP3O12 structure. Source: the Materials Project database, functional GGA-PBE.

Cell: 8.847 8.847 22.438 Å, 90.14 89.86 120.41°
Atoms (fractional coordinates):
Na  0.365  0.361  0.250
Na  0.639  0.635  0.750
Na  0.031  0.695  0.583
Na  0.305  0.969  0.083
Na  0.698  0.028  0.917
Na  0.972  0.302  0.417
Na  0.000  0.999  0.499
Na  0.001  0.000  0.999
Na  0.666  0.332  0.833
Na  0.668  0.334  0.333
Na  0.333  0.666  0.166
Na  0.334  0.667  0.666
Sc  0.999  0.993  0.353
Sc  0.007  0.001  0.853
Sc  0.666  0.326  0.686
Sc  0.674  0.334  0.186
Sc  0.333  0.659  0.019
Sc  0.341  0.667  0.519
Ti  0.002  0.010  0.648
Ti  0.990  0.998  0.148
Ti  0.669  0.343  0.982
Ti  0.657  0.331  0.482
Ti  0.335  0.676  0.315
Ti  0.324  0.665  0.815
P  0.287  0.994  0.249
P  0.706  0.711  0.250
P  0.002  0.292  0.252
P  0.289  0.294  0.750
P  0.006  0.713  0.749
P  0.708  0.998  0.752
P  0.954  0.327  0.582
P  0.372  0.044  0.584
P  0.668  0.625  0.585
P  0.956  0.628  0.084
P  0.673  0.046  0.082
P  0.375  0.332  0.085
P  0.620  0.661  0.916
P  0.039  0.377  0.917
P  0.335  0.959  0.918
P  0.623  0.961  0.417
P  0.339  0.380  0.416
P  0.041  0.665  0.418
O  0.204  0.029  0.303
O  0.816  0.793  0.305
O  0.978  0.187  0.308
O  0.207  0.184  0.805
O  0.971  0.796  0.803
O  0.813  0.022  0.808
O  0.804  0.969  0.697
O  0.171  0.199  0.694
O  0.032  0.826  0.692
O  0.801  0.829  0.194
O  0.031  0.196  0.197
O  0.174  0.968  0.192
O  0.871  0.362  0.636
O  0.483  0.126  0.639
O  0.645  0.521  0.642
O  0.874  0.517  0.139
O  0.638  0.129  0.136
O  0.479  0.355  0.142
O  0.471  0.303  0.030
O  0.838  0.533  0.028
O  0.699  0.159  0.025
O  0.467  0.162  0.528
O  0.697  0.529  0.530
O  0.841  0.301  0.525
O  0.538  0.695  0.970
O  0.150  0.460  0.972
O  0.312  0.854  0.975
O  0.540  0.850  0.472
O  0.305  0.462  0.470
O  0.146  0.688  0.475
O  0.137  0.636  0.363
O  0.505  0.866  0.361
O  0.366  0.492  0.358
O  0.134  0.495  0.861
O  0.364  0.863  0.863
O  0.508  0.634  0.858
O  0.018  0.823  0.411
O  0.809  0.991  0.410
O  0.175  0.197  0.410
O  0.009  0.191  0.910
O  0.177  0.982  0.911
O  0.803  0.825  0.910
O  0.970  0.161  0.591
O  0.188  0.027  0.589
O  0.842  0.807  0.589
O  0.973  0.812  0.089
O  0.839  0.030  0.091
O  0.193  0.158  0.089
O  0.685  0.156  0.744
O  0.476  0.325  0.744
O  0.842  0.530  0.743
O  0.675  0.524  0.244
O  0.844  0.315  0.244
O  0.470  0.158  0.243
O  0.636  0.494  0.924
O  0.854  0.360  0.922
O  0.509  0.141  0.922
O  0.640  0.146  0.422
O  0.506  0.364  0.424
O  0.859  0.491  0.422
O  0.352  0.490  0.078
O  0.142  0.658  0.077
O  0.508  0.863  0.076
O  0.342  0.858  0.577
O  0.510  0.648  0.578
O  0.137  0.492  0.576
O  0.303  0.827  0.257
O  0.521  0.694  0.255
O  0.175  0.474  0.256
O  0.306  0.479  0.755
O  0.173  0.697  0.757
O  0.526  0.825  0.756

Computed properties:
The calculated formation energy is -3.028 eV per atom. As for the total energy: -7.461 eV/atom. For the size of the total moment, the calculation gives 0.000 μB/atom.



Record 2
A geometry-optimized Ba4NaAl2B8Br3O18 structure. Source: the Materials Project database, functional GGA-PBE.

Cell: 12.344 12.344 6.967 Å, 90.00 90.00 90.00°
Atoms (fractional coordinates):
Ba  0.018  0.726  0.990
Ba  0.982  0.274  0.990
Ba  0.482  0.226  0.490
Ba  0.518  0.774  0.490
Ba  0.274  0.982  0.990
Ba  0.726  0.018  0.990
Ba  0.226  0.482  0.490
Ba  0.774  0.518  0.490
Na  0.000  0.000  0.338
Na  0.500  0.500  0.838
Al  0.701  0.701  0.998
Al  0.299  0.299  0.998
Al  0.799  0.201  0.498
Al  0.201  0.799  0.498
B  0.965  0.768  0.528
B  0.035  0.232  0.528
B  0.535  0.268  0.028
B  0.465  0.732  0.028
B  0.232  0.035  0.528
B  0.768  0.965  0.528
B  0.268  0.535  0.028
B  0.732  0.465  0.028
B  0.815  0.815  0.295
B  0.185  0.185  0.295
B  0.685  0.315  0.795
B  0.315  0.685  0.795
B  0.768  0.768  0.626
B  0.232  0.232  0.626
B  0.732  0.268  0.126
B  0.268  0.732  0.126
Br  0.000  0.000  0.914
Br  0.500  0.500  0.414
Br  0.000  0.500  0.759
Br  0.500  0.000  0.259
Br  0.500  0.000  0.759
Br  0.000  0.500  0.259
O  0.700  0.700  0.743
O  0.300  0.300  0.743
O  0.800  0.200  0.243
O  0.200  0.800  0.243
O  0.570  0.735  0.085
O  0.430  0.265  0.085
O  0.930  0.235  0.585
O  0.070  0.765  0.585
O  0.265  0.430  0.085
O  0.735  0.570  0.085
O  0.235  0.930  0.585
O  0.765  0.070  0.585
O  0.796  0.796  0.094
O  0.204  0.204  0.094
O  0.704  0.296  0.594
O  0.296  0.704  0.594
O  0.935  0.798  0.342
O  0.065  0.202  0.342
O  0.565  0.298  0.842
O  0.435  0.702  0.842
O  0.202  0.065  0.342
O  0.798  0.935  0.342
O  0.298  0.565  0.842
O  0.702  0.435  0.842
O  0.747  0.747  0.420
O  0.253  0.253  0.420
O  0.753  0.247  0.920
O  0.247  0.753  0.920
O  0.886  0.745  0.664
O  0.114  0.255  0.664
O  0.614  0.245  0.164
O  0.386  0.755  0.164
O  0.255  0.114  0.664
O  0.745  0.886  0.664
O  0.245  0.614  0.164
O  0.755  0.386  0.164

Computed properties:
The calculated formation energy is -2.988 eV per atom. As for the total energy: -7.198 eV/atom. For the size of the total moment, the calculation gives 0.000 μB/atom.



Record 3
A geometry-optimized CaMg6Nb structure. Source: the Materials Project database, functional GGA-PBE.

Cell: 6.365 6.365 4.568 Å, 90.00 90.00 90.00°
Atoms (fractional coordinates):
Ca  0.500  0.500  0.500
Mg  0.500  0.000  0.500
Mg  0.000  0.500  0.500
Mg  0.229  0.771  0.000
Mg  0.771  0.229  0.000
Mg  0.229  0.229  0.000
Mg  0.771  0.771  0.000
Nb  0.000  0.000  0.500

Computed properties:
The calculated formation energy is 0.113 eV per atom. As for the total energy: -2.600 eV/atom. The calculation puts the energy above the most stable polymorph in this dataset at 0 meV/atom. For the size of the total moment, the calculation gives 0.000 μB/atom.